This record from Materials Project describes crystalline La5Dy3Cu4O16 at its relaxed geometry. The functional is PBE.

abc: 3.868 3.868 24.996
angles: 90.00 90.00 90.00
Element x y z (fractional)
O 0.500 0.000 0.878
O 0.500 0.000 0.995
O 0.000 0.500 0.500
O 0.500 0.500 0.715
O 0.000 0.500 0.382
O 0.000 0.500 0.619
O 0.000 0.000 0.783
O 0.500 0.000 0.500
O 0.500 0.000 0.619
O 0.000 0.000 0.286
O 0.500 0.000 0.382
O 0.000 0.500 0.995
O 0.500 0.500 0.218
O 0.000 0.500 0.878
O 0.000 0.500 0.124
O 0.500 0.000 0.124
Dy 0.000 0.000 0.546
Dy 0.500 0.500 0.949
Dy 0.500 0.500 0.454
Cu 0.000 0.000 0.878
Cu 0.500 0.500 0.125
Cu 0.500 0.500 0.620
Cu 0.000 0.000 0.381
La 0.000 0.000 0.194
La 0.500 0.500 0.807
La 0.000 0.000 0.691
La 0.500 0.500 0.310
La 0.000 0.000 0.047


This record from Materials Project describes crystalline DyLuCu2 at its relaxed geometry. The functional is PBE.

abc: 4.784 4.784 4.784
angles: 60.00 60.00 60.00
Element x y z (fractional)
Cu 0.250 0.250 0.250
Cu 0.750 0.750 0.750
Lu 0.000 0.000 0.000
Dy 0.500 0.500 0.500


This record from Materials Project describes crystalline Dy2MgCu2 at its relaxed geometry. The functional is PBE.

abc: 7.734 7.734 3.617
angles: 90.00 90.00 90.00
Element x y z (fractional)
Dy 0.171 0.329 0.500
Dy 0.829 0.671 0.500
Dy 0.329 0.829 0.500
Dy 0.671 0.171 0.500
Cu 0.121 0.621 0.000
Cu 0.879 0.379 0.000
Cu 0.621 0.879 0.000
Cu 0.379 0.121 0.000
Mg 0.000 0.000 0.000
Mg 0.500 0.500 0.000


This record from Materials Project describes crystalline Dy2MgCu4O8 at its relaxed geometry. The functional is PBE.

abc: 5.668 5.666 6.968
angles: 113.94 114.04 89.94
Element x y z (fractional)
Cu 0.484 0.936 0.920
Cu 0.515 0.515 0.579
Cu 0.436 0.485 0.921
Cu 0.065 0.564 0.580
O 0.877 0.731 0.401
O 0.524 0.170 0.401
O 0.830 0.122 0.099
O 0.145 0.860 0.881
O 0.480 0.855 0.619
O 0.269 0.476 0.099
O 0.140 0.264 0.620
O 0.735 0.520 0.880
Mg 0.626 0.375 0.250
Dy 0.875 0.125 0.750
Dy 0.125 0.875 0.250


This record from Materials Project describes crystalline Dy2Mn3Cu9P7 at its relaxed geometry. The functional is PBE.

abc: 9.468 9.468 3.754
angles: 90.00 90.00 120.00
Element x y z (fractional)
P 0.333 0.667 0.000
P 0.918 0.537 0.000
P 0.209 0.956 0.500
P 0.463 0.381 0.000
P 0.748 0.791 0.500
P 0.044 0.252 0.500
P 0.619 0.082 0.000
Cu 0.293 0.238 0.500
Cu 0.762 0.056 0.500
Cu 0.906 0.286 0.000
Cu 0.220 0.387 0.000
Cu 0.714 0.620 0.000
Cu 0.944 0.707 0.500
Cu 0.380 0.094 0.000
Cu 0.613 0.833 0.000
Cu 0.167 0.780 0.000
Mn 0.421 0.888 0.500
Mn 0.112 0.533 0.500
Mn 0.467 0.579 0.500
Dy 0.667 0.333 0.500
Dy 0.000 0.000 0.000


This record from Materials Project describes crystalline Dy2Cu2O5 at its relaxed geometry. The functional is PBE.

abc: 3.533 10.900 12.590
angles: 90.00 90.00 90.00
Element x y z (fractional)
O 0.840 0.375 0.165
O 0.224 0.423 0.973
O 0.786 0.824 0.566
O 0.724 0.077 0.473
O 0.660 0.875 0.165
O 0.776 0.428 0.762
O 0.724 0.928 0.762
O 0.776 0.577 0.473
O 0.776 0.674 0.855
O 0.214 0.176 0.066
O 0.714 0.324 0.566
O 0.276 0.923 0.973
O 0.160 0.625 0.665
O 0.724 0.174 0.855
O 0.276 0.826 0.355
O 0.276 0.072 0.262
O 0.224 0.326 0.355
O 0.340 0.125 0.665
O 0.286 0.676 0.066
O 0.224 0.572 0.262
Dy 0.217 0.209 0.501
Dy 0.717 0.291 0.001
Dy 0.222 0.042 0.829
Dy 0.722 0.458 0.329
Dy 0.778 0.958 0.329
Dy 0.283 0.709 0.501
Dy 0.278 0.542 0.829
Dy 0.783 0.791 0.001
Cu 0.654 0.262 0.717
Cu 0.154 0.238 0.217
Cu 0.161 0.510 0.112
Cu 0.846 0.762 0.717
Cu 0.339 0.010 0.112
Cu 0.661 0.990 0.612
Cu 0.346 0.738 0.217
Cu 0.839 0.490 0.612

Output
- E above lowest polymorph (eV per atom) = 0.009


This record from Materials Project describes crystalline DyCuO3 at its relaxed geometry. The functional is PBE.

abc: 3.775 3.775 3.775
angles: 90.00 90.00 90.00
Element x y z (fractional)
Dy 0.000 0.000 0.000
O 0.000 0.500 0.500
O 0.500 0.000 0.500
O 0.500 0.500 0.000
Cu 0.500 0.500 0.500


This record from Materials Project describes crystalline Dy2Cu2O5 at its relaxed geometry. The functional is PBE.

abc: 6.268 7.198 11.213
angles: 90.00 90.00 90.00
Element x y z (fractional)
O 0.902 0.887 0.588
O 0.931 0.356 0.586
O 0.098 0.113 0.088
O 0.569 0.856 0.086
O 0.902 0.887 0.912
O 0.402 0.613 0.588
O 0.246 0.881 0.750
O 0.069 0.644 0.086
O 0.598 0.387 0.412
O 0.431 0.144 0.586
O 0.402 0.613 0.912
O 0.746 0.619 0.750
O 0.569 0.856 0.414
O 0.598 0.387 0.088
O 0.431 0.144 0.914
O 0.098 0.113 0.412
O 0.931 0.356 0.914
O 0.754 0.119 0.250
O 0.069 0.644 0.414
O 0.254 0.381 0.250
Dy 0.750 0.119 0.477
Dy 0.250 0.881 0.977
Dy 0.750 0.619 0.977
Dy 0.250 0.881 0.523
Dy 0.250 0.381 0.023
Dy 0.750 0.619 0.523
Dy 0.250 0.381 0.477
Dy 0.750 0.119 0.023
Cu 0.913 0.372 0.750
Cu 0.072 0.149 0.250
Cu 0.572 0.351 0.250
Cu 0.413 0.128 0.750
Cu 0.928 0.851 0.750
Cu 0.428 0.649 0.750
Cu 0.087 0.628 0.250
Cu 0.587 0.872 0.250

Output
- E above lowest polymorph (eV per atom) = 0.000


This record from Materials Project describes crystalline DyCu2O4 at its relaxed geometry. The functional is PBE.

abc: 6.288 6.288 6.288
angles: 126.13 126.13 79.67
Element x y z (fractional)
Cu 0.375 0.625 0.250
Cu 0.875 0.625 0.250
Cu 0.375 0.625 0.750
Cu 0.375 0.125 0.750
O 0.740 0.595 0.440
O 0.345 0.405 0.355
O 0.155 0.300 0.560
O 0.595 0.950 0.940
O 0.010 0.655 0.060
O 0.700 0.260 0.855
O 0.050 0.990 0.645
O 0.405 0.845 0.145
Dy 0.000 0.000 0.000
Dy 0.750 0.250 0.500


This record from Materials Project describes crystalline Dy2CuS2O12 at its relaxed geometry. The functional is PBE.

abc: 6.843 6.372 10.437
angles: 82.14 90.00 90.00
Element x y z (fractional)
Dy 0.005 0.078 0.178
Dy 0.995 0.922 0.822
Dy 0.505 0.922 0.322
Dy 0.495 0.078 0.678
O 0.356 0.400 0.934
O 0.194 0.252 0.754
O 0.939 0.437 0.169
O 0.679 0.059 0.873
O 0.665 0.061 0.130
O 0.321 0.941 0.127
O 0.960 0.788 0.043
O 0.561 0.437 0.669
O 0.694 0.748 0.746
O 0.835 0.061 0.630
O 0.540 0.788 0.543
O 0.179 0.941 0.627
O 0.460 0.212 0.457
O 0.821 0.059 0.373
O 0.439 0.563 0.331
O 0.040 0.212 0.957
O 0.856 0.600 0.566
O 0.306 0.252 0.254
O 0.644 0.600 0.066
O 0.335 0.939 0.870
O 0.061 0.563 0.831
O 0.165 0.939 0.370
O 0.144 0.400 0.434
O 0.806 0.748 0.246
Cu 0.000 0.000 0.500
Cu 0.500 0.000 0.000
S 0.329 0.368 0.373
S 0.171 0.368 0.873
S 0.829 0.632 0.127
S 0.671 0.632 0.627


This record from Materials Project describes crystalline DyCu2SeO2 at its relaxed geometry. The functional is PBE.

abc: 3.662 3.662 11.962
angles: 90.00 90.00 90.00
Element x y z (fractional)
Cu 0.500 0.500 0.182
Cu 0.500 0.500 0.818
Se 0.500 0.500 0.000
O 0.500 0.500 0.671
O 0.500 0.500 0.329
Dy 0.500 0.500 0.500


This record from Materials Project describes crystalline Dy2CuSe2O at its relaxed geometry. The functional is PBE.

abc: 3.535 3.535 14.058
angles: 90.00 90.00 90.00
Element x y z (fractional)
Dy 0.500 0.500 0.356
Dy 0.500 0.500 0.644
Cu 0.500 0.500 0.000
Se 0.500 0.500 0.159
Se 0.500 0.500 0.841
O 0.500 0.500 0.500


This record from Materials Project describes crystalline SrDy2CuO5 at its relaxed geometry. The functional is PBE.

abc: 5.643 7.181 12.089
angles: 90.00 90.00 90.00
Element x y z (fractional)
Cu 0.750 0.221 0.837
Cu 0.250 0.721 0.663
Cu 0.750 0.279 0.337
Cu 0.250 0.779 0.163
O 0.008 0.664 0.067
O 0.506 0.152 0.724
O 0.506 0.348 0.224
O 0.006 0.848 0.276
O 0.494 0.848 0.276
O 0.006 0.652 0.776
O 0.250 0.426 0.594
O 0.994 0.152 0.724
O 0.250 0.074 0.094
O 0.492 0.836 0.567
O 0.508 0.164 0.433
O 0.992 0.336 0.933
O 0.492 0.664 0.067
O 0.750 0.926 0.906
O 0.008 0.836 0.567
O 0.992 0.164 0.433
O 0.508 0.336 0.933
O 0.750 0.574 0.406
O 0.994 0.348 0.224
O 0.494 0.652 0.776
Sr 0.250 0.918 0.913
Sr 0.250 0.582 0.413
Sr 0.750 0.082 0.087
Sr 0.750 0.418 0.587
Dy 0.750 0.613 0.214
Dy 0.750 0.894 0.427
Dy 0.250 0.113 0.286
Dy 0.250 0.387 0.786
Dy 0.750 0.887 0.714
Dy 0.750 0.606 0.927
Dy 0.250 0.394 0.073
Dy 0.250 0.106 0.573


This record from Materials Project describes crystalline Dy2CuOs at its relaxed geometry. The functional is PBE.

abc: 4.853 4.853 4.853
angles: 60.00 60.00 60.00
Element x y z (fractional)
Cu 0.500 0.500 0.500
Dy 0.750 0.750 0.750
Dy 0.250 0.250 0.250
Os 0.000 0.000 0.000


This record from Materials Project describes crystalline Dy5CuPb3 at its relaxed geometry. The functional is PBE.

abc: 9.226 9.226 6.624
angles: 90.00 90.00 120.00
Element x y z (fractional)
Cu 0.000 0.000 0.000
Cu 0.000 0.000 0.500
Pb 0.614 0.000 0.250
Pb 0.000 0.614 0.250
Pb 0.614 0.614 0.750
Pb 0.386 0.386 0.250
Pb 0.000 0.386 0.750
Pb 0.386 0.000 0.750
Dy 0.333 0.667 0.500
Dy 0.667 0.333 0.500
Dy 0.258 0.000 0.250
Dy 0.333 0.667 0.000
Dy 0.742 0.000 0.750
Dy 0.667 0.333 0.000
Dy 0.000 0.742 0.750
Dy 0.742 0.742 0.250
Dy 0.000 0.258 0.250
Dy 0.258 0.258 0.750


This record from Materials Project describes crystalline DyCuPbSe3 at its relaxed geometry. The functional is PBE.

abc: 4.062 10.608 13.629
angles: 90.00 90.00 90.00
Element x y z (fractional)
Se 0.750 0.740 0.330
Se 0.750 0.949 0.616
Se 0.750 0.584 0.606
Se 0.250 0.760 0.830
Se 0.250 0.551 0.116
Se 0.750 0.240 0.170
Se 0.250 0.916 0.106
Se 0.250 0.416 0.394
Se 0.250 0.260 0.670
Se 0.750 0.449 0.884
Se 0.750 0.084 0.894
Se 0.250 0.051 0.384
Cu 0.250 0.241 0.277
Cu 0.750 0.759 0.723
Cu 0.750 0.259 0.777
Cu 0.250 0.741 0.223
Pb 0.750 0.225 0.495
Pb 0.250 0.275 0.995
Pb 0.750 0.725 0.005
Pb 0.250 0.775 0.505
Dy 0.250 0.014 0.758
Dy 0.250 0.514 0.742
Dy 0.750 0.986 0.242
Dy 0.750 0.486 0.258


| no. | formation enthalpy at 0 K (eV per atom) | uncorrected energy (eV/cell) |
| --- | --- | --- |
| 1 | -3.03 | -207.83 |
| 2 | -0.27 | -18.39 |
| 3 | -0.24 | -40.38 |
| 4 | -1.96 | -90.64 |
| 5 | -0.42 | -120.31 |
| 6 | -2.60 | -248.48 |
| 7 | -2.24 | -32.66 |
| 8 | -2.61 | -248.79 |
| 9 | -2.08 | -88.87 |
| 10 | -2.12 | -217.66 |
| 11 | -0.66 | -28.80 |
| 12 | -0.68 | -28.63 |
| 13 | -3.09 | -256.41 |
| 14 | -0.26 | -25.60 |
| 15 | -0.49 | -85.37 |
| 16 | -1.24 | -115.73 |